This record from the Materials Project describes an optimized crystal structure of WS2N2O2. The functional is GGA+U. Values from VASP.

Energy, eV per atom: -4.73
Calculated formation energy, eV/atom: 1.1208
Energy with MP2020 corrections, eV/cell: -79.91

Geometry as Quantum ESPRESSO input:
```
&SYSTEM
  ibrav = 0, nat = 14, ntyp = 4
/
ATOMIC_SPECIES
W 183.84 W.upf
S 32.06 S.upf
N 14.01 N.upf
O 16.00 O.upf
ATOMIC_POSITIONS angstrom
W -5.040 -8.420 -6.041
W -1.055 -5.278 -5.208
S -3.484 -8.548 -4.349
S -6.532 -10.107 -5.560
S -2.611 -5.151 -6.901
S 0.437 -3.592 -5.689
N -4.923 -5.225 -3.520
N -5.161 -11.478 -8.729
N -1.171 -8.474 -7.730
N -0.934 -2.221 -2.521
O -4.265 -8.711 -7.599
O -5.859 -6.859 -6.007
O -1.830 -4.987 -3.650
O -0.236 -6.840 -5.242
CELL_PARAMETERS angstrom
0.878 -1.997 -6.842
1.055 -7.061 -0.771
-8.027 -4.641 -3.637
```